# Zr2CuTc

A geometry-optimized Zr2CuTc structure (r²SCAN, the Materials Project).

Total DFT energy (no corrections) in eV for the cell shown: -83.5
V in A^3/atom: 17.53
Formation energy from the elements in meV per atom: -300
M_tot in μB/f.u.: 0.000

Structure (CIF):
```
data_Zr2CuTc
_cell_length_a 4.629
_cell_length_b 4.629
_cell_length_c 4.629
_cell_angle_alpha 60.00
_cell_angle_beta 60.00
_cell_angle_gamma 60.00
_space_group_name_H-M_alt 'P 1'
_space_group_IT_number 1
_space_group_name_Hall 'P 1'
loop_
_atom_site_label
_atom_site_type_symbol
_atom_site_fract_x
_atom_site_fract_y
_atom_site_fract_z
Tc1 Tc 0.000 0.000 0.000
Zr1 Zr 0.250 0.250 0.250
Cu1 Cu 0.500 0.500 0.500
Zr2 Zr 0.750 0.750 0.750
```

=====

# Th2CuTe6

A geometry-optimized Th2CuTe6 structure (r²SCAN, the Materials Project).

Total DFT energy (no corrections) in eV for the cell shown: -319.5
V in A^3/atom: 31.74
Formation energy from the elements in meV per atom: -1024
M_tot in μB/f.u.: 0.000

Structure (CIF):
```
data_Th2CuTe6
_cell_length_a 4.396
_cell_length_b 6.237
_cell_length_c 10.542
_cell_angle_alpha 81.25
_cell_angle_beta 90.00
_cell_angle_gamma 90.00
_space_group_name_H-M_alt 'P 1'
_space_group_IT_number 1
_space_group_name_Hall 'P 1'
loop_
_atom_site_label
_atom_site_type_symbol
_atom_site_fract_x
_atom_site_fract_y
_atom_site_fract_z
Te1 Te 0.500 0.393 0.835
Th1 Th 0.500 0.296 0.335
Te2 Te 0.000 0.237 0.558
Te3 Te 0.000 0.095 0.161
Cu1 Cu 0.000 0.406 0.964
Te4 Te 0.500 0.768 0.443
Th2 Th 0.000 0.710 0.666
Te5 Te 0.000 0.591 0.167
Te6 Te 0.500 0.901 0.838
```

=====

# ThCu2

A geometry-optimized ThCu2 structure (r²SCAN, the Materials Project).

Total DFT energy (no corrections) in eV for the cell shown: -95.7
V in A^3/atom: 19.18
Formation energy from the elements in meV per atom: -191
M_tot in μB/f.u.: 0.000

Structure (CIF):
```
data_ThCu2
_cell_length_a 4.352
_cell_length_b 4.352
_cell_length_c 3.508
_cell_angle_alpha 90.00
_cell_angle_beta 90.00
_cell_angle_gamma 120.00
_space_group_name_H-M_alt 'P 1'
_space_group_IT_number 1
_space_group_name_Hall 'P 1'
loop_
_atom_site_label
_atom_site_type_symbol
_atom_site_fract_x
_atom_site_fract_y
_atom_site_fract_z
Th1 Th 0.000 0.000 0.000
Cu1 Cu 0.333 0.667 0.500
Cu2 Cu 0.667 0.333 0.500
```

=====

# Ti2Cu

A geometry-optimized Ti2Cu structure (r²SCAN, the Materials Project).

Total DFT energy (no corrections) in eV for the cell shown: -37.1
V in A^3/atom: 15.22
Formation energy from the elements in meV per atom: -113
M_tot in μB/f.u.: 0.000

Structure (CIF):
```
data_Ti2Cu
_cell_length_a 2.929
_cell_length_b 2.929
_cell_length_c 5.712
_cell_angle_alpha 104.85
_cell_angle_beta 104.85
_cell_angle_gamma 90.00
_space_group_name_H-M_alt 'P 1'
_space_group_IT_number 1
_space_group_name_Hall 'P 1'
loop_
_atom_site_label
_atom_site_type_symbol
_atom_site_fract_x
_atom_site_fract_y
_atom_site_fract_z
Cu1 Cu 0.000 0.000 0.000
Ti1 Ti 0.661 0.661 0.323
Ti2 Ti 0.339 0.339 0.677
```

=====

# Ti2Cu3

A geometry-optimized Ti2Cu3 structure (r²SCAN, the Materials Project).

Total DFT energy (no corrections) in eV for the cell shown: -118.1
V in A^3/atom: 13.55
Formation energy from the elements in meV per atom: -128
M_tot in μB/f.u.: 0.432

Structure (CIF):
```
data_Ti2Cu3
_cell_length_a 3.120
_cell_length_b 3.120
_cell_length_c 13.928
_cell_angle_alpha 90.00
_cell_angle_beta 90.00
_cell_angle_gamma 90.00
_space_group_name_H-M_alt 'P 1'
_space_group_IT_number 1
_space_group_name_Hall 'P 1'
loop_
_atom_site_label
_atom_site_type_symbol
_atom_site_fract_x
_atom_site_fract_y
_atom_site_fract_z
Cu1 Cu 0.250 0.250 0.044
Cu2 Cu 0.750 0.750 0.336
Cu3 Cu 0.750 0.750 0.756
Ti1 Ti 0.750 0.750 0.561
Cu4 Cu 0.750 0.750 0.956
Cu5 Cu 0.250 0.250 0.665
Ti2 Ti 0.750 0.750 0.145
Ti3 Ti 0.250 0.250 0.439
Cu6 Cu 0.250 0.250 0.245
Ti4 Ti 0.250 0.250 0.854
```

=====

# TiCu4

A geometry-optimized TiCu4 structure (r²SCAN, the Materials Project).

Total DFT energy (no corrections) in eV for the cell shown: -227.0
V in A^3/atom: 12.33
Formation energy from the elements in meV per atom: -86
M_tot in μB/f.u.: 0.000

Structure (CIF):
```
data_TiCu4
_cell_length_a 4.299
_cell_length_b 4.468
_cell_length_c 12.839
_cell_angle_alpha 90.00
_cell_angle_beta 90.00
_cell_angle_gamma 90.00
_space_group_name_H-M_alt 'P 1'
_space_group_IT_number 1
_space_group_name_Hall 'P 1'
loop_
_atom_site_label
_atom_site_type_symbol
_atom_site_fract_x
_atom_site_fract_y
_atom_site_fract_z
Ti1 Ti 0.250 0.657 0.097
Cu1 Cu 0.250 0.674 0.702
Ti2 Ti 0.250 0.157 0.403
Cu2 Cu 0.750 0.338 0.497
Cu3 Cu 0.250 0.162 0.997
Cu4 Cu 0.750 0.821 0.395
Cu5 Cu 0.250 0.174 0.798
Cu6 Cu 0.750 0.326 0.298
Ti3 Ti 0.750 0.343 0.903
Cu7 Cu 0.250 0.662 0.503
Cu8 Cu 0.250 0.179 0.605
Cu9 Cu 0.750 0.342 0.701
Cu10 Cu 0.750 0.838 0.003
Cu11 Cu 0.250 0.158 0.201
Cu12 Cu 0.250 0.679 0.895
Cu13 Cu 0.750 0.826 0.202
Ti4 Ti 0.750 0.843 0.597
Cu14 Cu 0.750 0.321 0.105
Cu15 Cu 0.750 0.842 0.799
Cu16 Cu 0.250 0.658 0.299
```

=====

# Ti2Cu3

A geometry-optimized Ti2Cu3 structure (r²SCAN, the Materials Project).

Total DFT energy (no corrections) in eV for the cell shown: -58.9
V in A^3/atom: 13.64
Formation energy from the elements in meV per atom: -89
M_tot in μB/f.u.: 1.187

Structure (CIF):
```
data_Ti2Cu3
_cell_length_a 3.109
_cell_length_b 3.109
_cell_length_c 7.390
_cell_angle_alpha 102.13
_cell_angle_beta 102.13
_cell_angle_gamma 90.00
_space_group_name_H-M_alt 'P 1'
_space_group_IT_number 1
_space_group_name_Hall 'P 1'
loop_
_atom_site_label
_atom_site_type_symbol
_atom_site_fract_x
_atom_site_fract_y
_atom_site_fract_z
Ti1 Ti 0.395 0.395 0.791
Cu1 Cu 0.000 0.000 0.000
Cu2 Cu 0.794 0.794 0.588
Cu3 Cu 0.206 0.206 0.412
Ti2 Ti 0.605 0.605 0.209
```

=====

# TiCu2

A geometry-optimized TiCu2 structure (r²SCAN, the Materials Project).

Total DFT energy (no corrections) in eV for the cell shown: -70.0
V in A^3/atom: 13.10
Formation energy from the elements in meV per atom: -120
M_tot in μB/f.u.: 0.496

Structure (CIF):
```
data_TiCu2
_cell_length_a 4.571
_cell_length_b 4.571
_cell_length_c 4.375
_cell_angle_alpha 90.00
_cell_angle_beta 90.00
_cell_angle_gamma 120.67
_space_group_name_H-M_alt 'P 1'
_space_group_IT_number 1
_space_group_name_Hall 'P 1'
loop_
_atom_site_label
_atom_site_type_symbol
_atom_site_fract_x
_atom_site_fract_y
_atom_site_fract_z
Cu1 Cu 0.861 0.515 0.750
Ti1 Ti 0.794 0.794 0.250
Cu2 Cu 0.485 0.139 0.250
Cu3 Cu 0.139 0.485 0.250
Ti2 Ti 0.206 0.206 0.750
Cu4 Cu 0.515 0.861 0.750
```

=====

# ZrTiCu

A geometry-optimized ZrTiCu structure (r²SCAN, the Materials Project).

Total DFT energy (no corrections) in eV for the cell shown: -46.9
V in A^3/atom: 17.22
Formation energy from the elements in meV per atom: -107
M_tot in μB/f.u.: 0.000

Structure (CIF):
```
data_ZrTiCu
_cell_length_a 5.866
_cell_length_b 5.866
_cell_length_c 5.866
_cell_angle_alpha 149.56
_cell_angle_beta 149.56
_cell_angle_gamma 43.58
_space_group_name_H-M_alt 'P 1'
_space_group_IT_number 1
_space_group_name_Hall 'P 1'
loop_
_atom_site_label
_atom_site_type_symbol
_atom_site_fract_x
_atom_site_fract_y
_atom_site_fract_z
Zr1 Zr 0.336 0.336 0.000
Ti1 Ti 0.650 0.650 0.000
Cu1 Cu 0.015 0.015 0.000
```

=====

# TmCu2

A geometry-optimized TmCu2 structure (r²SCAN, the Materials Project).

Total DFT energy (no corrections) in eV for the cell shown: -115.4
V in A^3/atom: 16.81
Formation energy from the elements in meV per atom: -294
M_tot in μB/f.u.: 0.000

Structure (CIF):
```
data_TmCu2
_cell_length_a 4.247
_cell_length_b 5.323
_cell_length_c 5.323
_cell_angle_alpha 76.75
_cell_angle_beta 66.49
_cell_angle_gamma 66.49
_space_group_name_H-M_alt 'P 1'
_space_group_IT_number 1
_space_group_name_Hall 'P 1'
loop_
_atom_site_label
_atom_site_type_symbol
_atom_site_fract_x
_atom_site_fract_y
_atom_site_fract_z
Cu1 Cu 0.836 0.111 0.217
Cu2 Cu 0.164 0.889 0.783
Cu3 Cu 0.164 0.283 0.389
Tm1 Tm 0.547 0.703 0.203
Cu4 Cu 0.836 0.717 0.611
Tm2 Tm 0.453 0.297 0.797
```

=====

# YCu

A geometry-optimized YCu structure (r²SCAN, the Materials Project).

Total DFT energy (no corrections) in eV for the cell shown: -31.6
V in A^3/atom: 20.68
Formation energy from the elements in meV per atom: -227
M_tot in μB/f.u.: 0.000

Structure (CIF):
```
data_YCu
_cell_length_a 3.458
_cell_length_b 3.458
_cell_length_c 3.458
_cell_angle_alpha 90.00
_cell_angle_beta 90.00
_cell_angle_gamma 90.00
_space_group_name_H-M_alt 'P 1'
_space_group_IT_number 1
_space_group_name_Hall 'P 1'
loop_
_atom_site_label
_atom_site_type_symbol
_atom_site_fract_x
_atom_site_fract_y
_atom_site_fract_z
Y1 Y 0.000 0.000 0.000
Cu1 Cu 0.500 0.500 0.500
```

=====

# YCu5

A geometry-optimized YCu5 structure (r²SCAN, the Materials Project).

Total DFT energy (no corrections) in eV for the cell shown: -75.7
V in A^3/atom: 14.57
Formation energy from the elements in meV per atom: -193
M_tot in μB/f.u.: 0.000

Structure (CIF):
```
data_YCu5
_cell_length_a 5.003
_cell_length_b 5.003
_cell_length_c 4.034
_cell_angle_alpha 90.00
_cell_angle_beta 90.00
_cell_angle_gamma 120.00
_space_group_name_H-M_alt 'P 1'
_space_group_IT_number 1
_space_group_name_Hall 'P 1'
loop_
_atom_site_label
_atom_site_type_symbol
_atom_site_fract_x
_atom_site_fract_y
_atom_site_fract_z
Cu1 Cu 0.333 0.667 0.000
Y1 Y 0.000 0.000 0.000
Cu2 Cu 0.667 0.333 0.000
Cu3 Cu 0.500 0.000 0.500
Cu4 Cu 0.500 0.500 0.500
Cu5 Cu 0.000 0.500 0.500
```

=====

# YCu

A geometry-optimized YCu structure (r²SCAN, the Materials Project).

Total DFT energy (no corrections) in eV for the cell shown: -126.6
V in A^3/atom: 21.45
Formation energy from the elements in meV per atom: -246
M_tot in μB/f.u.: 0.000

Structure (CIF):
```
data_YCu
_cell_length_a 4.489
_cell_length_b 5.326
_cell_length_c 7.177
_cell_angle_alpha 90.00
_cell_angle_beta 90.00
_cell_angle_gamma 90.00
_space_group_name_H-M_alt 'P 1'
_space_group_IT_number 1
_space_group_name_Hall 'P 1'
loop_
_atom_site_label
_atom_site_type_symbol
_atom_site_fract_x
_atom_site_fract_y
_atom_site_fract_z
Cu1 Cu 0.250 0.623 0.031
Y1 Y 0.250 0.367 0.682
Cu2 Cu 0.750 0.123 0.469
Cu3 Cu 0.750 0.377 0.969
Y2 Y 0.750 0.867 0.818
Cu4 Cu 0.250 0.877 0.531
Y3 Y 0.750 0.633 0.318
Y4 Y 0.250 0.133 0.182
```

=====

# YbCu2

A geometry-optimized YbCu2 structure (r²SCAN, the Materials Project).

Total DFT energy (no corrections) in eV for the cell shown: -118.3
V in A^3/atom: 16.66
Formation energy from the elements in meV per atom: -303
M_tot in μB/f.u.: 0.000

Structure (CIF):
```
data_YbCu2
_cell_length_a 5.319
_cell_length_b 5.319
_cell_length_c 5.319
_cell_angle_alpha 133.48
_cell_angle_beta 102.92
_cell_angle_gamma 95.06
_space_group_name_H-M_alt 'P 1'
_space_group_IT_number 1
_space_group_name_Hall 'P 1'
loop_
_atom_site_label
_atom_site_type_symbol
_atom_site_fract_x
_atom_site_fract_y
_atom_site_fract_z
Yb1 Yb 0.203 0.453 0.750
Cu1 Cu 0.389 0.836 0.553
Cu2 Cu 0.611 0.164 0.447
Yb2 Yb 0.797 0.547 0.250
Cu3 Cu 0.783 0.836 0.947
Cu4 Cu 0.217 0.164 0.053
```

=====

# YbCu5

A geometry-optimized YbCu5 structure (r²SCAN, the Materials Project).

Total DFT energy (no corrections) in eV for the cell shown: -92.0
V in A^3/atom: 14.15
Formation energy from the elements in meV per atom: -209
M_tot in μB/f.u.: 0.000

Structure (CIF):
```
data_YbCu5
_cell_length_a 4.932
_cell_length_b 4.932
_cell_length_c 4.030
_cell_angle_alpha 90.00
_cell_angle_beta 90.00
_cell_angle_gamma 120.00
_space_group_name_H-M_alt 'P 1'
_space_group_IT_number 1
_space_group_name_Hall 'P 1'
loop_
_atom_site_label
_atom_site_type_symbol
_atom_site_fract_x
_atom_site_fract_y
_atom_site_fract_z
Cu1 Cu 0.000 0.500 0.500
Cu2 Cu 0.667 0.333 0.000
Cu3 Cu 0.333 0.667 0.000
Yb1 Yb 0.000 0.000 0.000
Cu4 Cu 0.500 0.500 0.500
Cu5 Cu 0.500 0.000 0.500
```

=====

# YbCu2

A geometry-optimized YbCu2 structure (r²SCAN, the Materials Project).

Total DFT energy (no corrections) in eV for the cell shown: -235.9
V in A^3/atom: 15.84
Formation energy from the elements in meV per atom: -252
M_tot in μB/f.u.: 0.000

Structure (CIF):
```
data_YbCu2
_cell_length_a 5.120
_cell_length_b 5.120
_cell_length_c 8.374
_cell_angle_alpha 90.00
_cell_angle_beta 90.00
_cell_angle_gamma 120.00
_space_group_name_H-M_alt 'P 1'
_space_group_IT_number 1
_space_group_name_Hall 'P 1'
loop_
_atom_site_label
_atom_site_type_symbol
_atom_site_fract_x
_atom_site_fract_y
_atom_site_fract_z
Cu1 Cu 0.166 0.333 0.750
Cu2 Cu 0.834 0.166 0.250
Cu3 Cu 0.834 0.667 0.250
Cu4 Cu 0.667 0.834 0.750
Yb1 Yb 0.333 0.667 0.443
Cu5 Cu 0.000 0.000 0.500
Yb2 Yb 0.667 0.333 0.557
Yb3 Yb 0.333 0.667 0.057
Cu6 Cu 0.000 0.000 0.000
Yb4 Yb 0.667 0.333 0.943
Cu7 Cu 0.333 0.166 0.250
Cu8 Cu 0.166 0.834 0.750
```

=====

# ZnCu

A geometry-optimized ZnCu structure (r²SCAN, the Materials Project).

Total DFT energy (no corrections) in eV for the cell shown: -19.9
V in A^3/atom: 12.51
Formation energy from the elements in meV per atom: -94
M_tot in μB/f.u.: 0.000

Structure (CIF):
```
data_ZnCu
_cell_length_a 2.738
_cell_length_b 2.738
_cell_length_c 3.337
_cell_angle_alpha 90.00
_cell_angle_beta 90.00
_cell_angle_gamma 90.02
_space_group_name_H-M_alt 'P 1'
_space_group_IT_number 1
_space_group_name_Hall 'P 1'
loop_
_atom_site_label
_atom_site_type_symbol
_atom_site_fract_x
_atom_site_fract_y
_atom_site_fract_z
Cu1 Cu 0.000 0.000 0.000
Zn1 Zn 0.500 0.500 0.500
```

=====

# ZnCu

A geometry-optimized ZnCu structure (r²SCAN, the Materials Project).

Total DFT energy (no corrections) in eV for the cell shown: -20.0
V in A^3/atom: 12.46
Formation energy from the elements in meV per atom: -97
M_tot in μB/f.u.: 0.000

Structure (CIF):
```
data_ZnCu
_cell_length_a 2.921
_cell_length_b 2.921
_cell_length_c 2.921
_cell_angle_alpha 90.00
_cell_angle_beta 90.00
_cell_angle_gamma 90.00
_space_group_name_H-M_alt 'P 1'
_space_group_IT_number 1
_space_group_name_Hall 'P 1'
loop_
_atom_site_label
_atom_site_type_symbol
_atom_site_fract_x
_atom_site_fract_y
_atom_site_fract_z
Cu1 Cu 0.000 0.000 0.000
Zn1 Zn 0.500 0.500 0.500
```

=====

# ZnCu3

A geometry-optimized ZnCu3 structure (r²SCAN, the Materials Project).

Total DFT energy (no corrections) in eV for the cell shown: -41.5
V in A^3/atom: 11.95
Formation energy from the elements in meV per atom: -19
M_tot in μB/f.u.: 0.000

Structure (CIF):
```
data_ZnCu3
_cell_length_a 8.508
_cell_length_b 8.508
_cell_length_c 8.508
_cell_angle_alpha 17.35
_cell_angle_beta 17.35
_cell_angle_gamma 17.35
_space_group_name_H-M_alt 'P 1'
_space_group_IT_number 1
_space_group_name_Hall 'P 1'
loop_
_atom_site_label
_atom_site_type_symbol
_atom_site_fract_x
_atom_site_fract_y
_atom_site_fract_z
Cu1 Cu 0.248 0.248 0.248
Cu2 Cu 0.752 0.752 0.752
Cu3 Cu 0.500 0.500 0.500
Zn1 Zn 0.000 0.000 0.000
```

=====

# ZnCu3

A geometry-optimized ZnCu3 structure (r²SCAN, the Materials Project).

Total DFT energy (no corrections) in eV for the cell shown: -41.5
V in A^3/atom: 11.93
Formation energy from the elements in meV per atom: -22
M_tot in μB/f.u.: 0.000

Structure (CIF):
```
data_ZnCu3
_cell_length_a 2.561
_cell_length_b 2.561
_cell_length_c 8.398
_cell_angle_alpha 90.00
_cell_angle_beta 90.00
_cell_angle_gamma 120.00
_space_group_name_H-M_alt 'P 1'
_space_group_IT_number 1
_space_group_name_Hall 'P 1'
loop_
_atom_site_label
_atom_site_type_symbol
_atom_site_fract_x
_atom_site_fract_y
_atom_site_fract_z
Zn1 Zn 0.667 0.333 0.000
Cu1 Cu 0.333 0.667 0.746
Cu2 Cu 0.333 0.667 0.254
Cu3 Cu 0.667 0.333 0.500
```